DFT (PBE+U) results for a relaxed LiVCuO4 crystal.

Unit cell a=7.0455 b=7.0455 c=7.0455 alpha=129.95 beta=129.72 gamma=73.67
Positions (direct):
Li 0.0000 0.0000 0.0000
Li 0.5000 0.0000 0.5000
V 0.4292 0.1792 0.2500
V 0.5708 0.8208 0.7500
Cu 0.0000 0.0000 0.5000
Cu 0.0000 0.5000 0.0000
O 0.1914 0.2326 0.9587
O 0.2261 0.7674 0.4587
O 0.3311 0.2946 0.4635
O 0.3311 0.8676 0.0365
O 0.6689 0.1324 0.9635
O 0.6689 0.7054 0.5365
O 0.7739 0.2326 0.5413
O 0.8086 0.7674 0.0413

Summary:
Energy of formation from the pure elements, eV/atom: -1.758
Magnetic moment, μB/f.u.: 1.0
Symmetry: Imma
Theoretical density, kg/m³: 3060

***

DFT (PBE+U) results for a relaxed Li11V12Cu12O48 crystal.

Unit cell a=10.2234 b=10.2234 c=10.6576 alpha=102.68 beta=102.68 gamma=117.54
Positions (direct):
Li 0.0000 0.0000 0.0000
Li 0.0837 0.4165 0.7493
Li 0.1667 0.8333 0.5000
Li 0.2584 0.2584 0.2556
Li 0.3336 0.6664 0.0000
Li 0.4165 0.0837 0.7493
Li 0.5835 0.9163 0.2507
Li 0.6664 0.3336 0.0000
Li 0.7416 0.7416 0.7444
Li 0.8333 0.1667 0.5000
Li 0.9163 0.5835 0.2507
V 0.0556 0.0556 0.6921
V 0.1081 0.7751 0.8068
V 0.2249 0.8919 0.1932
V 0.2738 0.6102 0.3066
V 0.3898 0.7262 0.6934
V 0.4417 0.4417 0.8087
V 0.5583 0.5583 0.1913
V 0.6102 0.2738 0.3066
V 0.7262 0.3898 0.6934
V 0.7751 0.1081 0.8068
V 0.8919 0.2249 0.1932
V 0.9444 0.9444 0.3079
Cu 0.0000 0.5000 0.0000
Cu 0.0000 0.5000 0.5000
Cu 0.1671 0.3337 0.9998
Cu 0.1719 0.3379 0.4986
Cu 0.3337 0.1671 0.9998
Cu 0.3379 0.1719 0.4986
Cu 0.5000 0.0000 0.0000
Cu 0.5000 0.0000 0.5000
Cu 0.6621 0.8281 0.5014
Cu 0.6663 0.8329 0.0002
Cu 0.8281 0.6621 0.5014
Cu 0.8329 0.6663 0.0002
O 0.0246 0.1997 0.1367
O 0.0324 0.1905 0.6377
O 0.0324 0.7000 0.6167
O 0.0329 0.6997 0.1166
O 0.1332 0.1332 0.8837
O 0.1330 0.6417 0.8627
O 0.1356 0.1356 0.3838
O 0.1397 0.6343 0.3627
O 0.1905 0.0324 0.6377
O 0.1988 0.5317 0.6161
O 0.1994 0.5336 0.1149
O 0.1997 0.0246 0.1367
O 0.2913 0.4741 0.3580
O 0.3003 0.9671 0.8834
O 0.3000 0.9676 0.3833
O 0.3076 0.4665 0.8638
O 0.3583 0.8670 0.1373
O 0.3620 0.3620 0.6214
O 0.3655 0.3655 0.1175
O 0.3657 0.8603 0.6373
O 0.4664 0.8006 0.8851
O 0.4665 0.3076 0.8638
O 0.4683 0.8012 0.3839
O 0.4741 0.2913 0.3580
O 0.5259 0.7087 0.6420
O 0.5317 0.1988 0.6161
O 0.5335 0.6924 0.1362
O 0.5336 0.1994 0.1149
O 0.6343 0.1397 0.3627
O 0.6345 0.6345 0.8825
O 0.6380 0.6380 0.3786
O 0.6417 0.1330 0.8627
O 0.6924 0.5335 0.1362
O 0.7000 0.0324 0.6167
O 0.6997 0.0329 0.1166
O 0.7087 0.5259 0.6420
O 0.8003 0.9754 0.8633
O 0.8006 0.4664 0.8851
O 0.8012 0.4683 0.3839
O 0.8095 0.9676 0.3623
O 0.8603 0.3657 0.6373
O 0.8644 0.8644 0.6162
O 0.8670 0.3583 0.1373
O 0.8668 0.8668 0.1163
O 0.9671 0.3003 0.8834
O 0.9676 0.3000 0.3833
O 0.9676 0.8095 0.3623
O 0.9754 0.8003 0.8633

Summary:
Energy of formation from the pure elements, eV/atom: -1.936
Magnetic moment, μB/f.u.: 11.0
Symmetry: C2/m
Theoretical density, kg/m³: 4117

***

DFT (PBE+U) results for a relaxed Li2V5CuO12 crystal.

Unit cell a=6.9347 b=6.9347 c=5.6768 alpha=107.59 beta=107.59 gamma=76.06
Positions (direct):
Li 0.0000 0.0000 0.0000
Li 0.5600 0.4400 0.5000
V 0.1034 0.3378 0.5147
V 0.3610 0.6390 0.0000
V 0.4490 0.0986 0.9584
V 0.6622 0.8966 0.4853
V 0.9014 0.5510 0.0416
Cu 0.1793 0.8207 0.5000
O 0.0847 0.7152 0.0817
O 0.2554 0.1102 0.5791
O 0.2693 0.5151 0.6089
O 0.2848 0.9153 0.9183
O 0.4000 0.3665 0.0607
O 0.4849 0.7307 0.3911
O 0.5953 0.0852 0.3147
O 0.6335 0.6000 0.9393
O 0.6927 0.0044 0.8214
O 0.8898 0.7446 0.4209
O 0.9148 0.4047 0.6853
O 0.9956 0.3073 0.1786

Summary:
Energy of formation from the pure elements, eV/atom: -2.280
Magnetic moment, μB/f.u.: 4.0
Symmetry: C2
Theoretical density, kg/m³: 3557

***

DFT (PBE+U) results for a relaxed LiVCuO4 crystal.

Unit cell a=6.0770 b=6.0770 c=6.0770 alpha=123.90 beta=122.82 gamma=84.28
Positions (direct):
Li 0.5000 0.0000 0.0000
Li 0.5000 0.5000 0.5000
V 0.1351 0.3851 0.7500
V 0.8649 0.6149 0.2500
Cu 0.0000 0.0000 0.0000
Cu 0.5000 0.0000 0.5000
O 0.2122 0.7243 0.4879
O 0.2498 0.2345 0.4847
O 0.2498 0.7650 0.0153
O 0.2636 0.2757 0.9879
O 0.7364 0.7243 0.0121
O 0.7502 0.2350 0.9847
O 0.7502 0.7655 0.5153
O 0.7878 0.2757 0.5121

Summary:
Energy of formation from the pure elements, eV/atom: -1.961
Magnetic moment, μB/f.u.: 1.0
Symmetry: Imma
Theoretical density, kg/m³: 4111

***

DFT (PBE+U) results for a relaxed Li2V3CuO8 crystal.

Unit cell a=5.9197 b=5.9197 c=5.9197 alpha=59.62 beta=59.62 gamma=59.62
Positions (direct):
Li 0.0000 0.0000 0.0000
Li 0.3782 0.3782 0.3782
V 0.0011 0.0011 0.4948
V 0.0011 0.4948 0.0011
V 0.4948 0.0011 0.0011
Cu 0.6228 0.6228 0.6228
O 0.2105 0.7500 0.7500
O 0.2403 0.2403 0.2403
O 0.2511 0.2511 0.7895
O 0.2511 0.7895 0.2511
O 0.7500 0.2105 0.7500
O 0.7500 0.7500 0.2105
O 0.7583 0.7583 0.7583
O 0.7895 0.2511 0.2511

Summary:
Energy of formation from the pure elements, eV/atom: -2.217
Magnetic moment, μB/f.u.: 2.0
Symmetry: R3m
Theoretical density, kg/m³: 4091

***

DFT (PBE+U) results for a relaxed Li2V3CuO8 crystal.

Unit cell a=8.0065 b=8.6067 c=8.6416 alpha=89.87 beta=89.98 gamma=89.98
Positions (direct):
Li 0.0000 0.0000 0.0000
Li 0.0062 0.4997 0.5031
Li 0.2501 0.2512 0.2532
Li 0.2568 0.7531 0.7530
Li 0.4998 0.5045 0.0032
Li 0.5064 0.0047 0.5004
Li 0.7499 0.2537 0.7507
Li 0.7570 0.7518 0.2507
V 0.1231 0.8824 0.3795
V 0.1279 0.1268 0.6283
V 0.1338 0.3752 0.8726
V 0.3736 0.6293 0.3722
V 0.3781 0.8781 0.1277
V 0.3827 0.1223 0.8792
V 0.6235 0.6226 0.6243
V 0.6276 0.3775 0.3759
V 0.6338 0.1295 0.1313
V 0.8732 0.8758 0.6316
V 0.8785 0.6266 0.8755
V 0.8826 0.3821 0.1243
Cu 0.1276 0.6312 0.1231
Cu 0.3784 0.3729 0.6228
Cu 0.6278 0.8731 0.8807
Cu 0.8789 0.1320 0.3804
O 0.1104 0.3761 0.1092
O 0.1133 0.6049 0.8713
O 0.1177 0.8882 0.6136
O 0.1268 0.1124 0.3990
O 0.1302 0.3562 0.6435
O 0.1394 0.1401 0.8659
O 0.1421 0.8817 0.1506
O 0.1464 0.6454 0.3798
O 0.3604 0.3602 0.8800
O 0.3642 0.1232 0.6497
O 0.3675 0.8648 0.3657
O 0.3760 0.6485 0.1427
O 0.3791 0.8921 0.8986
O 0.3884 0.1160 0.1133
O 0.3931 0.3996 0.3710
O 0.3960 0.6276 0.6096
O 0.6102 0.1283 0.8942
O 0.6129 0.8996 0.1324
O 0.6174 0.6164 0.3898
O 0.6268 0.3924 0.6047
O 0.6304 0.1482 0.3601
O 0.6391 0.3645 0.1379
O 0.6422 0.6232 0.8531
O 0.6462 0.8597 0.6240
O 0.8600 0.1441 0.1222
O 0.8644 0.3808 0.3538
O 0.8677 0.6400 0.6380
O 0.8760 0.8562 0.8611
O 0.8792 0.6120 0.1049
O 0.8886 0.3888 0.8904
O 0.8932 0.1044 0.6334
O 0.8956 0.8783 0.3950

Summary:
Energy of formation from the pure elements, eV/atom: -2.234
Magnetic moment, μB/f.u.: 3.0
Symmetry: P1
Theoretical density, kg/m³: 3996